! Tb7RhBr12 | the Materials Project | PBE | relaxed; values from VASP
&SYSTEM
  ibrav = 0, nat = 20, ntyp = 3
/
ATOMIC_SPECIES
Br 79.90 Br.upf
Tb 158.93 Tb.upf
Rh 102.91 Rh.upf
CELL_PARAMETERS angstrom
5.831 5.029 -5.239
-8.277 4.264 -0.229
3.091 0.462 8.774
ATOMIC_POSITIONS crystal
Br 0.680 0.220 0.072
Br 0.320 0.780 0.928
Br 0.780 0.928 0.320
Tb 0.026 0.311 0.103
Br 0.170 0.390 0.468
Tb 0.897 0.974 0.689
Br 0.928 0.320 0.780
Rh 0.000 0.000 0.000
Tb 0.311 0.103 0.026
Tb 0.500 0.500 0.500
Tb 0.974 0.689 0.897
Br 0.220 0.072 0.680
Br 0.610 0.532 0.830
Br 0.830 0.610 0.532
Tb 0.689 0.897 0.974
Br 0.072 0.680 0.220
Br 0.532 0.830 0.610
Tb 0.103 0.026 0.311
Br 0.468 0.170 0.390
Br 0.390 0.468 0.170
! energy	-4.595	eV/atom
! ΔH_f (0 K)	-38.9	eV per formula unit